1.
Density functional theory data (r2SCAN) for a geometry-optimized AgHgPd2 structure.

Output
**E_form**: -0.16 eV per atom
**ρ**: 12.83 g/cm³

a = 4.5699 Å, b = 4.5699 Å, c = 4.5699 Å
α = 60.00°, β = 60.00°, γ = 60.00°
Closest atoms and distances in Å follow each position.
Fractional positions:
Ag 0.0000 0.0000 0.0000  8 Pd 2.80
Hg 0.5000 0.5000 0.5000  8 Pd 2.80
Pd 0.2500 0.2500 0.2500  4 Hg 2.80, 4 Ag 2.80
Pd 0.7500 0.7500 0.7500  4 Hg 2.80, 4 Ag 2.80

---

2.
Density functional theory data (r2SCAN) for a geometry-optimized SiNi structure.

Output
**E_form**: -0.41 eV per atom
**ρ**: 6.38 g/cm³

a = 2.9428 Å, b = 3.2803 Å, c = 4.6774 Å
α = 90.00°, β = 90.00°, γ = 90.00°
Closest atoms and distances in Å follow each position.
Fractional positions:
Si 0.2500 0.2500 0.1569  6 Ni 2.34-2.37
Si 0.7500 0.7500 0.8431  6 Ni 2.34-2.37
Ni 0.2500 0.2500 0.6575  6 Si 2.34-2.37
Ni 0.7500 0.7500 0.3425  6 Si 2.34-2.37

---

3.
Density functional theory data (r2SCAN) for a geometry-optimized B structure.

Output
**E_form**: 0.10 eV per atom
**Excess energy over the best structure of this formula in the dataset**: 95.1 meV/atom
**ρ**: 2.33 g/cm³

a = 8.8495 Å, b = 8.8495 Å, c = 4.9203 Å
α = 90.00°, β = 90.00°, γ = 90.00°
Closest atoms and distances in Å follow each position.
Fractional positions:
B 0.0042 0.5042 0.1757  6 B 1.72-1.80
B 0.0042 0.9958 0.3243  6 B 1.72-1.80
B 0.0218 0.6674 0.6623  6 B 1.70-1.82
B 0.0218 0.8326 0.8377  6 B 1.70-1.82
B 0.0800 0.1641 0.8443  6 B 1.78-1.86
B 0.0800 0.3359 0.6557  6 B 1.78-1.86
B 0.1212 0.6212 0.3574  6 B 1.70-1.82
B 0.1212 0.8788 0.1426  6 B 1.70-1.82
B 0.1641 0.0800 0.1557  6 B 1.78-1.86
B 0.1641 0.4200 0.3443  6 B 1.78-1.86
B 0.1674 0.5218 0.6623  6 B 1.70-1.82
B 0.1674 0.9782 0.8377  6 B 1.70-1.82
B 0.2500 0.7500 0.2500  4 B 1.70
B 0.3326 0.5218 0.8377  6 B 1.70-1.82
B 0.3326 0.9782 0.6623  6 B 1.70-1.82
B 0.3359 0.0800 0.3443  6 B 1.78-1.86
B 0.3359 0.4200 0.1557  6 B 1.78-1.86
B 0.3788 0.6212 0.1426  6 B 1.70-1.82
B 0.3788 0.8788 0.3574  6 B 1.70-1.82
B 0.4200 0.1641 0.6557  6 B 1.78-1.86
B 0.4200 0.3359 0.8443  6 B 1.78-1.86
B 0.4782 0.6674 0.8377  6 B 1.70-1.82
B 0.4782 0.8326 0.6623  6 B 1.70-1.82
B 0.4958 0.5042 0.3243  6 B 1.72-1.80
B 0.4958 0.9958 0.1757  6 B 1.72-1.80
B 0.5042 0.0042 0.8243  6 B 1.72-1.80
B 0.5042 0.4958 0.6757  6 B 1.72-1.80
B 0.5218 0.1674 0.3377  6 B 1.70-1.82
B 0.5218 0.3326 0.1623  6 B 1.70-1.82
B 0.5800 0.6641 0.1557  6 B 1.78-1.86
B 0.5800 0.8359 0.3443  6 B 1.78-1.86
B 0.6212 0.1212 0.6426  6 B 1.70-1.82
B 0.6212 0.3788 0.8574  6 B 1.70-1.82
B 0.6641 0.5800 0.8443  6 B 1.78-1.86
B 0.6641 0.9200 0.6557  6 B 1.78-1.86
B 0.6674 0.0218 0.3377  6 B 1.70-1.82
B 0.6674 0.4782 0.1623  6 B 1.70-1.82
B 0.7500 0.2500 0.7500  4 B 1.70
B 0.8326 0.0218 0.1623  6 B 1.70-1.82
B 0.8326 0.4782 0.3377  6 B 1.70-1.82
B 0.8359 0.5800 0.6557  6 B 1.78-1.86
B 0.8359 0.9200 0.8443  6 B 1.78-1.86
B 0.8788 0.1212 0.8574  6 B 1.70-1.82
B 0.8788 0.3788 0.6426  6 B 1.70-1.82
B 0.9200 0.6641 0.3443  6 B 1.78-1.86
B 0.9200 0.8359 0.1557  6 B 1.78-1.86
B 0.9782 0.1674 0.1623  6 B 1.70-1.82
B 0.9782 0.3326 0.3377  6 B 1.70-1.82
B 0.9958 0.0042 0.6757  6 B 1.72-1.80
B 0.9958 0.4958 0.8243  6 B 1.72-1.80

---

4.
Density functional theory data (r2SCAN) for a geometry-optimized CeFe2P2 structure.

Output
**E_form**: -0.87 eV per atom
**ρ**: 7.05 g/cm³

a = 5.8134 Å, b = 5.8134 Å, c = 5.8134 Å
α = 142.03°, β = 142.03°, γ = 54.79°
Closest atoms and distances in Å follow each position.
Fractional positions:
Ce 0.0000 0.0000 0.0000  8 P 3.07, 8 Fe 3.20
Fe 0.2500 0.7500 0.5000  4 P 2.18
Fe 0.7500 0.2500 0.5000  4 P 2.18
P 0.3544 0.3544 0.0000  4 Fe 2.18
P 0.6456 0.6456 0.0000  4 Fe 2.18

---

5.
Density functional theory data (r2SCAN) for a geometry-optimized Rb3Er7S12 structure.

Output
**E_form**: -2.26 eV per atom
**ρ**: 5.09 g/cm³

a = 3.9525 Å, b = 12.0247 Å, c = 24.8642 Å
α = 90.00°, β = 90.00°, γ = 90.00°
Closest atoms and distances in Å follow each position.
Fractional positions:
Rb 0.0000 0.0356 0.0000  7 S 3.44-3.52
Rb 0.0000 0.3021 0.3462  5 S 3.23-3.45
Rb 0.0000 0.4584 0.7340  7 S 3.30-3.58
Rb 0.5000 0.5416 0.2340  7 S 3.30-3.58
Rb 0.5000 0.6979 0.8462  5 S 3.23-3.45
Rb 0.5000 0.9644 0.5000  7 S 3.44-3.52
Er 0.0000 0.1569 0.6603  6 S 2.64-2.81
Er 0.0000 0.2565 0.8703  6 S 2.69-2.75
Er 0.0000 0.3421 0.0819  6 S 2.64-2.82
Er 0.0000 0.5272 0.4551  6 S 2.67-2.80
Er 0.0000 0.6778 0.0531  6 S 2.65-2.87
Er 0.0000 0.8274 0.6885  6 S 2.65-2.83
Er 0.0000 0.9677 0.2902  6 S 2.63-2.85
Er 0.5000 0.0323 0.7902  6 S 2.63-2.85
Er 0.5000 0.1726 0.1885  6 S 2.65-2.83
Er 0.5000 0.3222 0.5531  6 S 2.65-2.87
Er 0.5000 0.4728 0.9551  6 S 2.67-2.80
Er 0.5000 0.6579 0.5819  6 S 2.64-2.82
Er 0.5000 0.7435 0.3703  6 S 2.69-2.75
Er 0.5000 0.8431 0.1603  6 S 2.64-2.81
S 0.0000 0.0056 0.1773  5 Er 2.81-2.85
S 0.0000 0.1739 0.5521  3 Er 2.66-2.70
S 0.0000 0.1806 0.7686  4 Er 2.69-2.72
S 0.0000 0.3233 0.1923  3 Er 2.68-2.75
S 0.0000 0.3235 0.9737  4 Er 2.70-2.71
S 0.0000 0.4933 0.5666  5 Er 2.80-2.87
S 0.0000 0.5892 0.3518  3 Er 2.67-2.75
S 0.0000 0.6251 0.9488  3 Er 2.67-2.70
S 0.0000 0.6972 0.1593  3 Er 2.64-2.65
S 0.0000 0.8041 0.5825  3 Er 2.64-2.65
S 0.0000 0.8802 0.7934  3 Er 2.69
S 0.0000 0.8927 0.3897  3 Er 2.63-2.71
S 0.5000 0.1073 0.8897  3 Er 2.63-2.71
S 0.5000 0.1198 0.2934  3 Er 2.69
S 0.5000 0.1959 0.0825  3 Er 2.64-2.65
S 0.5000 0.3028 0.6593  3 Er 2.64-2.65
S 0.5000 0.3749 0.4488  3 Er 2.67-2.70
S 0.5000 0.4108 0.8518  3 Er 2.67-2.75
S 0.5000 0.5067 0.0666  5 Er 2.80-2.87
S 0.5000 0.6765 0.4737  4 Er 2.70-2.71
S 0.5000 0.6767 0.6923  3 Er 2.68-2.75
S 0.5000 0.8194 0.2686  4 Er 2.69-2.72
S 0.5000 0.8261 0.0521  3 Er 2.66-2.70
S 0.5000 0.9944 0.6773  5 Er 2.81-2.85

---

6.
Density functional theory data (r2SCAN) for a geometry-optimized Li2Pr2Si3 structure.

Output
**E_form**: -0.67 eV per atom
**ρ**: 4.44 g/cm³

a = 9.5705 Å, b = 9.5705 Å, c = 6.8505 Å
α = 90.00°, β = 90.00°, γ = 153.09°
Closest atoms and distances in Å follow each position.
Fractional positions:
Li 0.1887 0.8113 0.5598  1 Li 2.61, 4 Si 2.62-2.72
Li 0.1887 0.8113 0.9402  1 Li 2.61, 4 Si 2.62-2.72
Li 0.8113 0.1887 0.0598  1 Li 2.61, 4 Si 2.62-2.72
Li 0.8113 0.1887 0.4402  1 Li 2.61, 4 Si 2.62-2.72
Pr 0.3412 0.6588 0.7500  6 Li 3.12-3.13, 6 Si 3.16-3.17
Pr 0.4477 0.5523 0.2500  9 Si 3.11-3.24
Pr 0.5523 0.4477 0.7500  9 Si 3.11-3.24
Pr 0.6588 0.3412 0.2500  6 Li 3.12-3.13, 6 Si 3.16-3.17
Si 0.0571 0.9429 0.0766  2 Si 2.37-2.38, 1 Li 2.62
Si 0.0571 0.9429 0.4234  2 Si 2.37-2.38, 1 Li 2.62
Si 0.2804 0.7196 0.2500  6 Li 2.64-2.72
Si 0.7196 0.2804 0.7500  6 Li 2.64-2.72
Si 0.9429 0.0571 0.5766  2 Si 2.37-2.38, 1 Li 2.62
Si 0.9429 0.0571 0.9234  2 Si 2.37-2.38, 1 Li 2.62

---

7.
Density functional theory data (r2SCAN) for a geometry-optimized Pr2Si3Pd structure.

Output
**E_form**: -0.96 eV per atom
**ρ**: 6.13 g/cm³

a = 8.2654 Å, b = 8.2654 Å, c = 8.6545 Å
α = 90.00°, β = 90.00°, γ = 120.00°
Closest atoms and distances in Å follow each position.
Fractional positions:
Pr 0.0000 0.0000 0.2500  12 Si 3.21
Pr 0.0000 0.0000 0.7500  12 Si 3.21
Pr 0.9996 0.4998 0.2500  4 Pd 3.22, 8 Si 3.22
Pr 0.0004 0.5002 0.7500  4 Pd 3.22, 8 Si 3.22
Pr 0.5002 0.0004 0.2500  4 Pd 3.22, 8 Si 3.22
Pr 0.4998 0.9996 0.7500  4 Pd 3.22, 8 Si 3.22
Pr 0.5002 0.4998 0.2500  4 Pd 3.22, 8 Si 3.22
Pr 0.4998 0.5002 0.7500  4 Pd 3.22, 8 Si 3.22
Si 0.1660 0.3320 0.0001  2 Si 2.38, 1 Pd 2.40
Si 0.1660 0.3320 0.4999  2 Si 2.38, 1 Pd 2.40
Si 0.1660 0.8340 0.0001  2 Si 2.38, 1 Pd 2.40
Si 0.1660 0.8340 0.4999  2 Si 2.38, 1 Pd 2.40
Si 0.3320 0.1660 0.9999  2 Si 2.38, 1 Pd 2.40
Si 0.3320 0.1660 0.5001  2 Si 2.38, 1 Pd 2.40
Si 0.6680 0.8340 0.0001  2 Si 2.38, 1 Pd 2.40
Si 0.6680 0.8340 0.4999  2 Si 2.38, 1 Pd 2.40
Si 0.8340 0.1660 0.9999  2 Si 2.38, 1 Pd 2.40
Si 0.8340 0.1660 0.5001  2 Si 2.38, 1 Pd 2.40
Si 0.8340 0.6680 0.9999  2 Si 2.38, 1 Pd 2.40
Si 0.8340 0.6680 0.5001  2 Si 2.38, 1 Pd 2.40
Pd 0.3333 0.6667 0.0005  3 Si 2.40
Pd 0.3333 0.6667 0.4995  3 Si 2.40
Pd 0.6667 0.3333 0.5005  3 Si 2.40
Pd 0.6667 0.3333 0.9995  3 Si 2.40

---

Total energy? In order: -29.33 -10.79 -7.25 -16.40 -19.34 -13.51 -18.97 eV/atom.